The following is a DFT calculation (PBE+U) of Li9Mn2Co5O16 after structural relaxation.

Computed properties:
Its space-group type is P-1, No. 2. The calculation puts the energy of formation from the pure elements at -5338 kJ/mol of formula units. Its MP2020-corrected energy is -6.423 eV per atom. For the raw total energy, the calculation gives -5.72 eV/atom. The energy above the most stable polymorph in this dataset comes out at 4.33 eV per formula unit.

Unit cell a=5.6854 b=5.8520 c=9.7533 alpha=92.13 beta=98.05 gamma=118.77
Closest atoms and distances in Å follow each position.
Atoms (fractional coordinates):
Li  0.0000  0.0000  0.0000  6 O 2.02-2.14
Li  0.2484  0.3695  0.2430  6 O 2.07-2.18
Li  0.2483  0.8762  0.2445  6 O 2.05-2.16
Li  0.2501  0.1237  0.7596  5 O 2.09-2.28
Li  0.2539  0.6244  0.7595  5 O 2.00-2.20
Li  0.7461  0.3756  0.2405  5 O 2.00-2.20
Li  0.7499  0.8763  0.2404  5 O 2.09-2.28
Li  0.7517  0.1238  0.7555  6 O 2.05-2.16
Li  0.7516  0.6305  0.7570  6 O 2.07-2.18
Mn  0.9997  0.2495  0.4992  6 O 1.94-2.16
Mn  0.0003  0.7505  0.5008  6 O 1.94-2.16
Co  0.0000  0.5000  0.0000  6 O 1.89-1.94
Co  0.4990  0.2493  0.4992  6 O 1.95-1.97
Co  0.5000  0.0000  0.0000  4 O 1.84-2.00
Co  0.5000  0.5000  0.0000  4 O 1.89-1.93
Co  0.5010  0.7507  0.5008  6 O 1.95-1.97
O  0.1206  0.7847  0.8925  2 Co 1.89-2.00, 3 Li 2.00-2.07
O  0.1353  0.0824  0.3819  2 Mn 1.94-2.16, 1 Co 1.96, 3 Li 2.11-2.16
O  0.1394  0.5849  0.3846  2 Mn 1.94-2.16, 1 Co 1.95, 1 Li 2.13
O  0.1461  0.3381  0.8904  2 Co 1.89-1.91, 2 Li 2.05-2.09
O  0.3621  0.6693  0.1140  3 Co 1.93-2.13, 3 Li 2.09-2.10
O  0.3768  0.4474  0.6079  2 Co 1.96-1.97, 1 Mn 1.99, 2 Li 2.15
O  0.3765  0.9495  0.6081  2 Co 1.96, 1 Mn 1.98, 2 Li 2.14-2.15
O  0.3836  0.1652  0.1156  1 Co 1.84, 3 Li 2.00-2.05
O  0.6164  0.8348  0.8844  1 Co 1.84, 3 Li 2.00-2.05
O  0.6235  0.0505  0.3919  2 Co 1.96, 1 Mn 1.98, 2 Li 2.14-2.15
O  0.6232  0.5526  0.3921  2 Co 1.96-1.97, 1 Mn 1.99, 2 Li 2.15
O  0.6379  0.3307  0.8860  3 Co 1.93-2.13, 3 Li 2.09-2.10
O  0.8539  0.6619  0.1096  2 Co 1.89-1.91, 2 Li 2.05-2.09
O  0.8606  0.4151  0.6154  2 Mn 1.94-2.16, 1 Co 1.95, 1 Li 2.13
O  0.8647  0.9176  0.6181  2 Mn 1.94-2.16, 1 Co 1.96, 3 Li 2.11-2.16
O  0.8794  0.2153  0.1075  2 Co 1.89-2.00, 3 Li 2.00-2.07